(1)
9
Lattice="3.541 6.836 -1.127 -4.942 -0.888 5.943 2.993 -1.169 2.315" Properties=species:S:1:pos:R:3 comment="HoInAu PBE-GGA relaxed" energy_ev_per_atom=-4.273 formation_energy_ev_per_atom=-0.74 vol_a3_per_cell=207.6 pbc="T T T"
Ho 0.934 1.803 3.091
Ho 3.616 3.507 0.483
Ho -1.462 -1.116 4.715
In -1.033 4.383 3.549
In 0.931 1.798 -0.296
In -1.300 -0.234 1.563
Au 0.713 4.261 1.230
Au -2.115 1.687 3.586
Au 1.497 -0.585 1.157

(2)
114
Lattice="-0.004 -8.637 2.053 4.865 2.939 -6.858 17.756 3.044 13.776" Properties=species:S:1:pos:R:3 comment="Na2InGaSiS2O12 PBE-GGA relaxed" energy_ev_per_atom=-6.049 formation_energy_ev_per_atom=-2.19 vol_a3_per_cell=1553.5 pbc="T T T"
Na 7.513 2.606 -0.853
Na 13.323 -0.959 11.085
Na 15.178 -1.084 2.862
Na 3.267 1.002 -0.986
Na 19.696 -3.684 10.112
Na 7.584 -1.461 6.323
Na 13.702 4.367 0.119
Na 4.827 2.805 -6.735
Na 16.288 -2.265 10.691
Na 7.583 -3.879 3.706
Na 6.235 -0.425 -1.531
Na 15.065 1.093 5.292
In 15.081 -6.026 13.690
In 7.547 3.375 -4.706
In 19.052 -1.742 12.635
In 3.662 -0.770 -3.729
In 12.453 0.813 3.135
In 17.764 1.432 7.227
Ga 11.027 -4.513 0.027
Ga 11.525 1.888 8.951
Ga 13.654 -2.749 8.596
Ga 4.925 -4.400 1.739
Ga 10.276 -3.285 5.669
Ga 8.732 0.237 0.658
Si 5.858 1.607 1.486
Si 13.236 -3.914 11.662
Si 10.603 -1.298 8.443
Si 4.548 -6.147 -1.183
Si 20.945 2.755 6.589
Si 10.591 3.021 1.182
S 4.496 -1.870 4.082
S 7.894 -3.160 0.112
S 14.704 0.557 8.850
S 16.641 -4.228 7.546
S 11.971 -5.497 7.718
S 13.398 -2.176 5.169
S 1.721 -5.370 2.285
S 3.167 -2.008 -0.336
S 19.527 -0.665 9.366
S 18.093 3.509 10.169
S 12.021 -1.342 0.443
S 9.214 -0.509 3.857
O 5.580 -0.930 4.457
O 9.171 -3.842 0.499
O 6.229 -7.006 5.122
O 15.145 0.982 10.206
O 17.978 -3.631 7.812
O 14.446 -4.541 12.529
O 16.936 -2.056 4.363
O 13.376 1.106 8.507
O 16.383 4.274 4.032
O 7.419 -3.637 -1.206
O 4.403 0.953 1.162
O 8.222 1.783 -3.422
O 13.082 -4.584 8.087
O 12.040 -1.924 8.917
O 13.829 -2.152 6.580
O 4.978 -5.522 0.290
O 3.053 -4.712 2.384
O 4.154 -2.709 0.513
O 2.047 -2.856 -0.774
O 3.052 -5.717 -1.693
O 1.237 -5.460 0.894
O 10.065 -1.959 7.007
O 12.061 -2.799 4.987
O 10.918 -4.799 6.933
O 20.552 0.281 9.841
O 19.432 3.049 10.624
O 21.323 2.955 8.162
O 12.552 -0.891 1.769
O 10.554 0.097 4.010
O 11.875 2.227 1.797
O 9.379 1.975 0.777
O 10.692 -0.750 0.147
O 8.817 -0.613 2.421
O 17.684 2.896 8.881
O 19.455 2.123 6.331
O 18.441 -0.020 8.607
O 11.280 3.588 -0.241
O 12.020 -2.820 0.550
O 8.256 0.297 4.657
O 17.185 3.210 11.278
O 20.912 4.349 6.140
O 20.240 -1.701 8.581
O 11.262 -6.043 8.903
O 10.637 0.356 8.324
O 14.326 -2.970 4.303
O 5.571 -5.777 -2.394
O 1.758 -6.780 2.726
O 2.490 -0.876 0.362
O 14.019 -3.157 10.396
O 14.692 -0.930 8.954
O 15.653 -3.390 8.247
O 6.938 -3.561 1.192
O 5.938 -5.461 2.944
O 5.093 -2.895 3.182
O 18.828 -1.361 10.475
O 18.100 -3.663 11.935
O 17.104 -1.111 12.596
O 8.071 -3.839 6.204
O 9.168 -1.911 4.374
O 9.949 -4.467 4.232
O 3.885 -1.433 -1.516
O 4.576 0.873 -2.851
O 5.685 -1.645 -3.709
O 14.502 1.130 2.840
O 13.402 -0.767 4.660
O 12.634 2.028 4.935
O 8.737 0.438 -1.576
O 8.021 -1.694 0.002
O 6.929 0.740 0.538
O 15.640 1.003 7.794
O 16.605 3.001 5.997
O 17.273 0.238 5.583

(3)
5
Lattice="-2.126 4.060 4.679 -4.844 4.407 0.091 1.791 -6.113 -1.524" Properties=species:S:1:pos:R:3 comment="Tm2SeO2 PBE-GGA relaxed" energy_ev_per_atom=-7.576 formation_energy_ev_per_atom=-3.38 vol_a3_per_cell=85.4 pbc="T T T"
Tm -4.585 5.571 3.138
Tm -2.384 2.897 1.632
Se 0.000 0.000 0.000
O -3.269 1.264 0.476
O -1.910 1.091 2.770

(4)
16
Lattice="-8.196 1.707 -0.697 2.587 -6.184 5.064 0.448 4.109 4.789" Properties=species:S:1:pos:R:3 comment="Ho5Si3 PBE-GGA relaxed" energy_ev_per_atom=-5.590 formation_energy_ev_per_atom=-0.66 vol_a3_per_cell=386.6 pbc="T T T"
Ho 2.295 -1.602 7.426
Ho 0.740 -0.474 2.426
Ho -4.136 -2.364 4.504
Ho -5.871 4.374 3.064
Ho -1.025 1.995 4.651
Ho -1.877 1.441 1.028
Ho -0.783 -1.499 5.538
Ho -4.602 -0.923 1.223
Ho -4.378 1.131 3.618
Ho -1.007 -3.554 3.143
Si -2.899 3.755 3.316
Si -2.102 -0.740 2.921
Si 1.678 -2.716 4.262
Si 1.357 0.641 5.590
Si -3.059 0.372 6.235
Si -4.849 2.060 0.775

(5)
12
Lattice="3.347 0.459 3.649 -2.065 5.681 1.179 -4.060 -2.309 4.015" Properties=species:S:1:pos:R:3 comment="Ta4NiP PBE-GGA relaxed" energy_ev_per_atom=-10.225 formation_energy_ev_per_atom=-0.45 vol_a3_per_cell=188.6 pbc="T T T"
Ta -0.354 3.616 3.258
Ta -2.424 0.215 5.585
Ta -2.744 3.458 5.470
Ta -0.034 0.374 3.372
Ta -1.358 1.544 1.051
Ta -4.767 1.829 4.143
Ta -3.024 -0.605 2.850
Ta -3.100 3.978 2.343
Ni 0.837 0.115 0.912
Ni 2.510 0.344 2.737
P -2.226 1.801 3.509
P -0.552 2.031 5.334

(6)
14
Lattice="4.639 -3.680 -3.957 5.980 3.845 -0.419 7.212 -2.568 2.731" Properties=species:S:1:pos:R:3 comment="Bi2Rh3S2 PBE-GGA relaxed" energy_ev_per_atom=-5.825 formation_energy_ev_per_atom=-0.52 vol_a3_per_cell=285.4 pbc="T T T"
Bi 1.839 -0.626 0.636
Bi 7.110 -0.554 -1.516
Bi 10.721 -1.849 -0.129
Bi 15.992 -1.777 -2.281
Rh 2.990 1.923 -0.210
Rh 5.647 1.977 -1.298
Rh 4.972 -1.811 -3.078
Rh 2.319 -1.840 -1.978
Rh 9.767 -0.494 -2.651
Rh 8.064 -1.909 1.006
S 9.554 -2.706 -3.295
S 10.280 1.369 -1.379
S 8.276 0.303 1.649
S 7.550 -3.772 -0.266

(7)
4
Lattice="0.000 3.359 3.359 3.359 0.000 3.359 3.359 3.359 0.000" Properties=species:S:1:pos:R:3 comment="ErMgPd2 PBE-GGA relaxed" energy_ev_per_atom=-4.967 formation_energy_ev_per_atom=-0.83 vol_a3_per_cell=75.8 pbc="T T T"
Er 3.359 3.359 3.359
Mg 0.000 0.000 0.000
Pd 1.680 1.680 1.680
Pd 5.039 5.039 5.039

(8)
19
Lattice="-2.526 1.698 5.707 3.428 5.422 0.829 -4.437 4.124 -2.267" Properties=species:S:1:pos:R:3 comment="Nd2Ga2Fe15 PBE-GGA relaxed" energy_ev_per_atom=-7.510 formation_energy_ev_per_atom=0.00 vol_a3_per_cell=264.6 pbc="T T T"
Nd -2.304 7.327 2.782
Nd -1.232 3.918 1.487
Ga -3.170 10.080 3.827
Ga -0.366 1.164 0.442
Fe -2.219 2.062 -1.133
Fe 1.714 2.711 0.414
Fe -1.263 0.849 2.854
Fe 1.703 4.343 2.242
Fe -3.080 2.401 3.397
Fe -2.158 4.500 -1.370
Fe -3.883 3.421 0.044
Fe 1.149 5.046 -0.068
Fe -0.801 2.777 4.294
Fe -3.436 5.905 0.314
Fe 0.519 6.557 1.871
Fe -2.475 4.685 4.324
Fe -0.100 5.340 3.954
Fe -4.055 4.687 2.398
Fe -1.061 6.560 -0.055

(9)
12
Lattice="7.643 0.000 0.000 -0.014 7.728 0.000 -2.643 -1.176 7.237" Properties=species:S:1:pos:R:3 comment="CeSe2 PBE-GGA relaxed" energy_ev_per_atom=-5.713 formation_energy_ev_per_atom=-1.72 vol_a3_per_cell=427.4 pbc="T T T"
Ce 4.852 6.598 6.899
Ce 3.838 3.238 4.241
Ce 3.743 6.407 1.321
Ce -0.543 0.084 3.883
Se 3.186 4.321 6.813
Se 3.341 3.731 1.591
Se 5.498 1.487 5.764
Se 0.947 6.477 1.927
Se 5.600 0.981 1.615
Se -0.041 6.195 6.140
Se 4.698 6.012 4.024
Se 1.615 1.727 4.229

(10)
8
Lattice="5.018 3.141 0.000 -5.018 3.141 0.000 0.000 2.097 6.636" Properties=species:S:1:pos:R:3 comment="MoCl3 PBE-GGA relaxed" energy_ev_per_atom=-4.927 formation_energy_ev_per_atom=-1.29 relative_energy_kj_per_mol_fu=0 vol_a3_per_cell=209.2 pbc="T T T"
Mo -3.550 3.141 0.000
Mo 3.550 3.141 0.000
Cl 0.000 5.348 1.653
Cl 0.000 3.031 4.983
Cl -1.710 6.313 5.319
Cl -1.710 2.067 1.318
Cl 1.710 2.067 1.318
Cl 1.710 6.313 5.319

(11)
4
Lattice="4.496 0.000 0.000 0.000 4.496 0.000 0.000 0.000 6.359" Properties=species:S:1:pos:R:3 comment="Ce2SbTe PBE-GGA relaxed" energy_ev_per_atom=-6.022 formation_energy_ev_per_atom=-1.34 vol_a3_per_cell=128.5 pbc="T T T"
Ce 0.000 0.000 0.000
Ce 2.248 2.248 3.180
Sb 0.000 0.000 3.180
Te 2.248 2.248 0.000

(12)
24
Lattice="5.189 -8.987 0.000 5.189 8.987 0.000 0.000 0.000 5.809" Properties=species:S:1:pos:R:3 comment="Pr3SiAgS7 PBE-GGA relaxed" energy_ev_per_atom=-5.802 formation_energy_ev_per_atom=-1.80 vol_a3_per_cell=541.8 pbc="T T T"
Pr 2.519 2.108 1.433
Pr 7.858 -2.108 4.338
Pr 7.292 1.127 1.433
Pr 5.755 5.752 1.433
Pr 4.623 -5.752 4.338
Pr 3.085 -1.127 4.338
Si 5.189 2.996 3.839
Si 5.189 -2.996 0.935
Ag 0.000 0.000 1.801
Ag 0.000 0.000 4.705
S 5.189 2.996 0.149
S 5.189 -2.996 3.053
S 4.856 1.042 3.003
S 5.521 -1.042 0.099
S 7.047 3.685 3.003
S 3.663 4.260 3.003
S 6.715 -4.260 0.099
S 3.330 -3.685 0.099
S 1.872 1.578 4.431
S 8.505 -1.578 1.526
S 8.075 0.832 4.431
S 5.619 6.577 4.431
S 4.758 -6.577 1.526
S 2.302 -0.832 1.526

(13)
5
Lattice="-1.887 1.887 7.067 1.887 -1.887 7.067 1.887 1.887 -7.067" Properties=species:S:1:pos:R:3 comment="KFe2As2 PBE-GGA relaxed" energy_ev_per_atom=-5.760 formation_energy_ev_per_atom=-0.29 vol_a3_per_cell=100.6 pbc="T T T"
K 0.000 0.000 0.000
Fe 0.000 1.887 3.533
Fe 1.887 0.000 3.533
As 0.000 0.000 9.232
As 0.000 0.000 4.902

(14)
24
Lattice="-7.870 -11.852 -8.433 5.453 -1.932 -2.373 3.252 -5.118 4.158" Properties=species:S:1:pos:R:3 comment="Na2SnSe3 PBE-GGA relaxed" energy_ev_per_atom=-3.629 formation_energy_ev_per_atom=-1.01 vol_a3_per_cell=701.3 pbc="T T T"
Na -3.415 -16.086 -5.805
Na -0.983 -11.195 -4.955
Na 2.841 -11.737 -3.209
Na 4.251 -2.816 -0.844
Na 5.865 -6.686 -1.466
Na -2.006 -7.165 -3.440
Na 1.819 -7.707 -1.693
Na -5.029 -12.216 -5.182
Sn 5.222 -10.536 -0.900
Sn 3.819 -7.578 1.703
Sn -4.387 -8.366 -5.748
Sn -2.983 -11.324 -8.352
Se 3.323 -5.643 0.150
Se 4.386 -9.115 -2.820
Se -3.550 -9.787 -3.829
Se 0.009 -11.299 -2.100
Se 2.724 -3.712 -3.246
Se -1.064 -4.344 -3.197
Se -0.348 -16.909 -6.591
Se 0.826 -7.603 -4.549
Se 1.900 -14.558 -3.452
Se -2.488 -13.259 -6.798
Se 1.183 -1.993 -0.058
Se -1.888 -15.190 -3.403

(15)
3
Lattice="0.000 4.274 4.274 4.274 0.000 4.274 4.274 4.274 0.000" Properties=species:S:1:pos:R:3 comment="CsRbAs PBE-GGA relaxed" energy_ev_per_atom=-2.327 formation_energy_ev_per_atom=-0.15 vol_a3_per_cell=156.1 pbc="T T T"
Cs 4.274 4.274 4.274
Rb 0.000 0.000 0.000
As 6.411 6.411 6.411

(16)
2
Lattice="-2.297 -1.527 1.018 1.833 -1.843 1.374 -0.091 2.041 2.858" Properties=species:S:1:pos:R:3 comment="MnPt PBE-GGA relaxed" energy_ev_per_atom=-7.963 formation_energy_ev_per_atom=-0.35 vol_a3_per_cell=30.4 pbc="T T T"
Mn 0.000 0.000 0.000
Pt -0.277 -0.664 2.625